NaLi3 | PBE | optimized geometry

Geometry as extended XYZ:
```
4
Lattice="-2.278 2.278 4.714 2.278 -2.278 4.714 2.278 2.278 -4.714" Properties=species:S:1:pos:R:3 pbc="T T T"
Na 0.000 0.000 0.000
Li 2.278 0.000 2.357
Li 0.000 0.000 4.714
Li 0.000 2.278 2.357
```

## Properties
Calculated formation energy (eV per atom): 0.052
E above lowest polymorph (meV per atom): 3

HoGe2Pd | PBE | optimized geometry

Geometry as extended XYZ:
```
8
Lattice="2.014 -9.203 0.000 2.014 9.203 0.000 0.000 0.000 4.241" Properties=species:S:1:pos:R:3 pbc="T T T"
Ho 2.014 7.357 3.180
Ho 2.014 -7.357 1.060
Ge 2.014 4.514 1.060
Ge 2.014 0.652 3.180
Ge 2.014 -0.652 1.060
Ge 2.014 -4.514 3.180
Pd 2.014 3.069 3.180
Pd 2.014 -3.069 1.060
```

## Properties
Calculated formation energy (eV per atom): -0.702
Size of the total moment (μB/cell): 0.0